[1]
VASP calculation (PBE-GGA) on an optimized crystal structure of Ba8Eu7Cl34.

Computed properties:
Energy of formation ... -2784 meV/atom
Density ... 4.0 g/cm³
Energy with MP2020 corrections ... -5.8454 eV per atom

Lattice parameters (Å, degrees): 13.5831 13.5831 13.5831 130.51 130.51 72.59
Sites, in units of the cell vectors:
Ba (0.0209, 0.8418, 0.5450)
Ba (0.1582, 0.7033, 0.1791)
Ba (0.2967, 0.4758, 0.4550)
Ba (0.4758, 0.0209, 0.1791)
Ba (0.5242, 0.9791, 0.8209)
Ba (0.7033, 0.5242, 0.5450)
Ba (0.8418, 0.2967, 0.8209)
Ba (0.9791, 0.1582, 0.4550)
Eu (0.0000, 0.0000, 0.0000)
Eu (0.1800, 0.6083, 0.7884)
Eu (0.3116, 0.3116, 0.0000)
Eu (0.3917, 0.1800, 0.5717)
Eu (0.6083, 0.8200, 0.4283)
Eu (0.6884, 0.6884, 0.0000)
Eu (0.8200, 0.3917, 0.2116)
Cl (0.0040, 0.7225, 0.8785)
Cl (0.0442, 0.1485, 0.7148)
Cl (0.0770, 0.5770, 0.5000)
Cl (0.1256, 0.0040, 0.2815)
Cl (0.1485, 0.4337, 0.1042)
Cl (0.1560, 0.8744, 0.8785)
Cl (0.1686, 0.4522, 0.8617)
Cl (0.2267, 0.3615, 0.5882)
Cl (0.2500, 0.7500, 0.5000)
Cl (0.2775, 0.1560, 0.2815)
Cl (0.3069, 0.1686, 0.7164)
Cl (0.3295, 0.0442, 0.8958)
Cl (0.3615, 0.7733, 0.1348)
Cl (0.4096, 0.6931, 0.8617)
Cl (0.4230, 0.9230, 0.5000)
Cl (0.4337, 0.3295, 0.2852)
Cl (0.4522, 0.5904, 0.2836)
Cl (0.5478, 0.4096, 0.7164)
Cl (0.5663, 0.6705, 0.7148)
Cl (0.5770, 0.0770, 0.5000)
Cl (0.5904, 0.3069, 0.1383)
Cl (0.6385, 0.2267, 0.8652)
Cl (0.6705, 0.9558, 0.1042)
Cl (0.6931, 0.8314, 0.2836)
Cl (0.7225, 0.8440, 0.7185)
Cl (0.7500, 0.2500, 0.5000)
Cl (0.7733, 0.6385, 0.4118)
Cl (0.8314, 0.5478, 0.1383)
Cl (0.8440, 0.1256, 0.1215)
Cl (0.8515, 0.5663, 0.8958)
Cl (0.8744, 0.9960, 0.7185)
Cl (0.9230, 0.4230, 0.5000)
Cl (0.9558, 0.8515, 0.2852)
Cl (0.9960, 0.2775, 0.1215)



[2]
VASP calculation (PBE-GGA) on an optimized crystal structure of Ba6EuCl2F12.

Computed properties:
Energy of formation ... -3908 meV/atom
Density ... 5.1 g/cm³
Energy with MP2020 corrections ... -6.2148 eV per atom

Lattice parameters (Å, degrees): 10.6874 10.6874 4.2162 90.00 90.00 120.00
Sites, in units of the cell vectors:
Ba (0.0483, 0.7782, 0.0000)
Ba (0.2218, 0.2701, 0.0000)
Ba (0.4421, 0.0734, 0.5000)
Ba (0.6313, 0.5579, 0.5000)
Ba (0.7299, 0.9517, 0.0000)
Ba (0.9266, 0.3687, 0.5000)
Eu (0.3333, 0.6667, 0.5000)
Cl (0.0000, 0.0000, 0.5000)
Cl (0.6667, 0.3333, 0.0000)
F (0.1249, 0.5713, 0.0000)
F (0.1882, 0.4059, 0.5000)
F (0.2177, 0.8118, 0.5000)
F (0.2821, 0.0525, 0.0000)
F (0.3961, 0.2985, 0.5000)
F (0.4287, 0.5536, 0.0000)
F (0.4464, 0.8751, 0.0000)
F (0.5941, 0.7823, 0.5000)
F (0.7015, 0.0975, 0.5000)
F (0.7703, 0.7179, 0.0000)
F (0.9025, 0.6039, 0.5000)
F (0.9475, 0.2297, 0.0000)



[3]
VASP calculation (PBE-GGA) on an optimized crystal structure of Ba12Cl5F19.

Computed properties:
Maximum piezoelectric response ... 0.184 C/m2
Energy of formation ... -3828 meV/atom
Density ... 4.7 g/cm³
Energy with MP2020 corrections ... -5.7344 eV per atom

Lattice parameters (Å, degrees): 14.2917 14.2917 4.3291 90.00 90.00 120.00
Sites, in units of the cell vectors:
Ba (0.0000, 0.1777, 0.0000)
Ba (0.0000, 0.6259, 0.0000)
Ba (0.1671, 0.4750, 0.5000)
Ba (0.1777, 0.0000, 0.0000)
Ba (0.3079, 0.8329, 0.5000)
Ba (0.3741, 0.3741, 0.0000)
Ba (0.4750, 0.1671, 0.5000)
Ba (0.5250, 0.6921, 0.5000)
Ba (0.6259, 0.0000, 0.0000)
Ba (0.6921, 0.5250, 0.5000)
Ba (0.8223, 0.8223, 0.0000)
Ba (0.8329, 0.3079, 0.5000)
Cl (0.0000, 0.8117, 0.5000)
Cl (0.1883, 0.1883, 0.5000)
Cl (0.3333, 0.6667, 0.0000)
Cl (0.6667, 0.3333, 0.0000)
Cl (0.8117, 0.0000, 0.5000)
F (0.0000, 0.0000, 0.0000)
F (0.0000, 0.2794, 0.5000)
F (0.0000, 0.4390, 0.0000)
F (0.1257, 0.6371, 0.5000)
F (0.1827, 0.3756, 0.0000)
F (0.1929, 0.8173, 0.0000)
F (0.2794, 0.0000, 0.5000)
F (0.3629, 0.4886, 0.5000)
F (0.3756, 0.1827, 0.0000)
F (0.4390, 0.0000, 0.0000)
F (0.4886, 0.3629, 0.5000)
F (0.5114, 0.8743, 0.5000)
F (0.5610, 0.5610, 0.0000)
F (0.6244, 0.8071, 0.0000)
F (0.6371, 0.1257, 0.5000)
F (0.7206, 0.7206, 0.5000)
F (0.8071, 0.6244, 0.0000)
F (0.8173, 0.1929, 0.0000)
F (0.8743, 0.5114, 0.5000)



[4]
VASP calculation (PBE-GGA) on an optimized crystal structure of Ba2Cl2F.

Computed properties:
Energy of formation ... -1827 meV/atom
Density ... 1.1 g/cm³
Energy with MP2020 corrections ... -3.7168 eV per atom

Lattice parameters (Å, degrees): 6.3108 6.3108 14.3336 90.00 90.00 90.00
Sites, in units of the cell vectors:
Ba (0.0000, 0.0000, 0.1747)
Ba (0.0000, 0.0000, 0.8253)
Cl (0.0000, 0.0000, 0.3643)
Cl (0.0000, 0.0000, 0.6357)
F (0.0000, 0.0000, 0.0000)



[5]
VASP calculation (PBE-GGA) on an optimized crystal structure of Ba3SrCl4F4.

Computed properties:
Energy of formation ... -3386 meV/atom
Density ... 4.2 g/cm³
Energy with MP2020 corrections ... -5.2605 eV per atom

Lattice parameters (Å, degrees): 4.3884 4.3884 14.5733 90.00 90.00 90.00
Sites, in units of the cell vectors:
Ba (0.0000, 0.0000, 0.0000)
Ba (0.0000, 0.0000, 0.4901)
Ba (0.5000, 0.5000, 0.7885)
Sr (0.5000, 0.5000, 0.2929)
Cl (0.0000, 0.0000, 0.2207)
Cl (0.0000, 0.0000, 0.7123)
Cl (0.5000, 0.5000, 0.0783)
Cl (0.5000, 0.5000, 0.5644)
F (0.0000, 0.5000, 0.3850)
F (0.0000, 0.5000, 0.8939)
F (0.5000, 0.0000, 0.3850)
F (0.5000, 0.0000, 0.8939)



[6]
VASP calculation (PBE-GGA) on an optimized crystal structure of KBa3Ga5Se10Cl2.

Computed properties:
Energy of formation ... -1321 meV/atom
Density ... 4.5 g/cm³
Energy with MP2020 corrections ... -4.2094 eV per atom

Lattice parameters (Å, degrees): 8.7811 8.7869 10.0486 64.22 64.33 89.98
Sites, in units of the cell vectors:
K (0.0000, 0.0000, 0.0000)
Ba (0.3593, 0.8364, 0.5432)
Ba (0.7407, 0.4761, 0.0008)
Ba (0.8376, 0.0986, 0.5426)
Ga (0.2231, 0.4952, 0.1016)
Ga (0.3435, 0.4233, 0.4409)
Ga (0.4134, 0.8812, 0.1037)
Ga (0.4823, 0.3514, 0.7731)
Ga (0.9589, 0.6171, 0.4382)
Se (0.0544, 0.4235, 0.6293)
Se (0.1364, 0.9087, 0.2901)
Se (0.1984, 0.4022, 0.9169)
Se (0.3176, 0.2811, 0.2881)
Se (0.4176, 0.7804, 0.9136)
Se (0.4413, 0.2147, 0.6224)
Se (0.5556, 0.7008, 0.2559)
Se (0.6236, 0.1601, 0.9177)
Se (0.6782, 0.6383, 0.6257)
Se (0.9293, 0.5161, 0.2573)
Cl (0.7306, 0.1032, 0.2759)
Cl (0.9841, 0.8512, 0.7703)



[7]
VASP calculation (PBE-GGA) on an optimized crystal structure of RbBa3Ga5Se10Cl2.

Computed properties:
Energy of formation ... -1323 meV/atom
Density ... 4.6 g/cm³
Energy with MP2020 corrections ... -4.2059 eV per atom

Lattice parameters (Å, degrees): 8.8154 8.8475 10.0939 64.23 64.12 89.99
Sites, in units of the cell vectors:
Rb (0.0000, 0.0000, 0.0000)
Ba (0.3576, 0.8335, 0.5437)
Ba (0.7366, 0.4762, 0.0025)
Ba (0.8369, 0.1028, 0.5434)
Ga (0.2237, 0.4984, 0.1012)
Ga (0.3411, 0.4244, 0.4425)
Ga (0.4118, 0.8819, 0.1046)
Ga (0.4802, 0.3530, 0.7733)
Ga (0.9593, 0.6194, 0.4386)
Se (0.0528, 0.4229, 0.6306)
Se (0.1388, 0.9064, 0.2963)
Se (0.2003, 0.4102, 0.9145)
Se (0.3158, 0.2834, 0.2896)
Se (0.4203, 0.7806, 0.9146)
Se (0.4435, 0.2193, 0.6213)
Se (0.5526, 0.6993, 0.2574)
Se (0.6211, 0.1611, 0.9180)
Se (0.6774, 0.6368, 0.6280)
Se (0.9309, 0.5164, 0.2595)
Cl (0.7222, 0.1062, 0.2846)
Cl (0.9819, 0.8467, 0.7655)



[8]
VASP calculation (PBE-GGA) on an optimized crystal structure of Ba3GaS4Cl.

Computed properties:
Energy of formation ... -2131 meV/atom
Density ... 4.2 g/cm³
Energy with MP2020 corrections ... -5.1511 eV per atom

Lattice parameters (Å, degrees): 12.4202 9.6657 8.5456 90.00 90.00 90.00
Sites, in units of the cell vectors:
Ba (0.0191, 0.2500, 0.0863)
Ba (0.1677, 0.0199, 0.5845)
Ba (0.1677, 0.4801, 0.5845)
Ba (0.3323, 0.5199, 0.0845)
Ba (0.3323, 0.9801, 0.0845)
Ba (0.4809, 0.7500, 0.5863)
Ba (0.5191, 0.2500, 0.4137)
Ba (0.6677, 0.0199, 0.9155)
Ba (0.6677, 0.4801, 0.9155)
Ba (0.8323, 0.5199, 0.4155)
Ba (0.8323, 0.9801, 0.4155)
Ba (0.9809, 0.7500, 0.9137)
Ga (0.1062, 0.7500, 0.3109)
Ga (0.3938, 0.2500, 0.8109)
Ga (0.6062, 0.7500, 0.1891)
Ga (0.8938, 0.2500, 0.6891)
S (0.0066, 0.7500, 0.5363)
S (0.0731, 0.5487, 0.1868)
S (0.0731, 0.9513, 0.1868)
S (0.2130, 0.2500, 0.8629)
S (0.2870, 0.7500, 0.3629)
S (0.4269, 0.0487, 0.6868)
S (0.4269, 0.4513, 0.6868)
S (0.4934, 0.2500, 0.0363)
S (0.5066, 0.7500, 0.9637)
S (0.5731, 0.5487, 0.3132)
S (0.5731, 0.9513, 0.3132)
S (0.7130, 0.2500, 0.6371)
S (0.7870, 0.7500, 0.1371)
S (0.9269, 0.0487, 0.8132)
S (0.9269, 0.4513, 0.8132)
S (0.9934, 0.2500, 0.4637)
Cl (0.2303, 0.7500, 0.8328)
Cl (0.2697, 0.2500, 0.3328)
Cl (0.7303, 0.7500, 0.6672)
Cl (0.7697, 0.2500, 0.1672)